(1)
Below is an optimized crystal structure of Eu2NiWO6, with properties calculated at the GGA+U level.

Output
- space group = No. 225
- crystal system = cubic

Lattice parameters (Å, degrees): 5.642 5.642 5.642 60.00 60.00 60.00
Atoms (fractional coordinates):
Eu  0.250  0.250  0.250
Eu  0.750  0.750  0.750
Ni  0.000  0.000  0.000
W  0.500  0.500  0.500
O  0.256  0.256  0.744
O  0.256  0.744  0.256
O  0.256  0.744  0.744
O  0.744  0.256  0.256
O  0.744  0.256  0.744
O  0.744  0.744  0.256

---

(2)
Below is an optimized crystal structure of RbEuW2O8, with properties calculated at the GGA+U level.

Output
- space group = No. 15
- crystal system = monoclinic

Lattice parameters (Å, degrees): 7.718 7.718 7.560 117.01 117.01 89.55
Atoms (fractional coordinates):
Rb  0.200  0.800  0.750
Rb  0.800  0.200  0.250
Eu  0.226  0.774  0.250
Eu  0.774  0.226  0.750
W  0.302  0.312  0.279
W  0.312  0.302  0.779
W  0.688  0.698  0.221
W  0.698  0.688  0.721
O  0.051  0.212  0.690
O  0.069  0.381  0.133
O  0.212  0.051  0.190
O  0.247  0.379  0.559
O  0.371  0.585  0.028
O  0.379  0.247  0.059
O  0.381  0.069  0.633
O  0.415  0.629  0.472
O  0.585  0.371  0.528
O  0.619  0.931  0.367
O  0.621  0.753  0.941
O  0.629  0.415  0.972
O  0.753  0.621  0.441
O  0.788  0.949  0.810
O  0.931  0.619  0.867
O  0.949  0.788  0.310

---

(3)
Below is an optimized crystal structure of Eu5V3S6O7, with properties calculated at the GGA+U level.

Output
- space group = No. 59
- crystal system = orthorhombic

Lattice parameters (Å, degrees): 3.735 18.007 10.213 90.00 90.00 90.00
Atoms (fractional coordinates):
Eu  0.250  0.087  0.088
Eu  0.250  0.250  0.723
Eu  0.250  0.413  0.088
Eu  0.250  0.638  0.530
Eu  0.250  0.862  0.530
Eu  0.750  0.138  0.470
Eu  0.750  0.362  0.470
Eu  0.750  0.587  0.912
Eu  0.750  0.750  0.277
Eu  0.750  0.913  0.912
V  0.250  0.056  0.747
V  0.250  0.444  0.747
V  0.250  0.750  0.815
V  0.750  0.250  0.185
V  0.750  0.556  0.253
V  0.750  0.944  0.253
S  0.250  0.015  0.352
S  0.250  0.250  0.033
S  0.250  0.250  0.357
S  0.250  0.485  0.352
S  0.250  0.632  0.147
S  0.250  0.868  0.147
S  0.750  0.132  0.853
S  0.750  0.368  0.853
S  0.750  0.515  0.648
S  0.750  0.750  0.643
S  0.750  0.750  0.967
S  0.750  0.985  0.648
O  0.250  0.000  0.894
O  0.250  0.126  0.612
O  0.250  0.374  0.612
O  0.250  0.500  0.894
O  0.250  0.649  0.793
O  0.250  0.750  0.407
O  0.250  0.851  0.793
O  0.750  0.000  0.106
O  0.750  0.149  0.207
O  0.750  0.250  0.593
O  0.750  0.351  0.207
O  0.750  0.500  0.106
O  0.750  0.626  0.388
O  0.750  0.874  0.388

---

(4)
Below is an optimized crystal structure of EuVSe2O8, with properties calculated at the GGA+U level.

Output
- space group = No. 11
- crystal system = monoclinic

Lattice parameters (Å, degrees): 6.912 7.107 13.784 90.00 91.20 90.00
Atoms (fractional coordinates):
Eu  0.075  0.250  0.069
Eu  0.378  0.750  0.137
Eu  0.622  0.250  0.863
Eu  0.925  0.750  0.931
V  0.374  0.008  0.613
V  0.374  0.492  0.613
V  0.626  0.508  0.387
V  0.626  0.992  0.387
Se  0.032  0.250  0.352
Se  0.104  0.250  0.840
Se  0.210  0.750  0.408
Se  0.449  0.750  0.862
Se  0.551  0.250  0.138
Se  0.790  0.250  0.592
Se  0.896  0.750  0.160
Se  0.968  0.750  0.648
O  0.021  0.750  0.768
O  0.030  0.578  0.101
O  0.030  0.922  0.101
O  0.098  0.555  0.604
O  0.098  0.945  0.604
O  0.209  0.750  0.286
O  0.291  0.750  0.956
O  0.302  0.250  0.918
O  0.305  0.250  0.573
O  0.363  0.555  0.437
O  0.363  0.945  0.437
O  0.384  0.076  0.108
O  0.384  0.424  0.108
O  0.411  0.060  0.729
O  0.411  0.440  0.729
O  0.423  0.750  0.616
O  0.577  0.250  0.384
O  0.589  0.560  0.271
O  0.589  0.940  0.271
O  0.616  0.576  0.892
O  0.616  0.924  0.892
O  0.637  0.055  0.563
O  0.637  0.445  0.563
O  0.695  0.750  0.427
O  0.698  0.750  0.082
O  0.709  0.250  0.044
O  0.791  0.250  0.714
O  0.902  0.055  0.396
O  0.902  0.445  0.396
O  0.970  0.078  0.899
O  0.970  0.422  0.899
O  0.979  0.250  0.232

---

(5)
Below is an optimized crystal structure of SrSmEuVO6, with properties calculated at the GGA+U level.

Output
- space group = No. 16
- crystal system = orthorhombic
- energy above the most stable polymorph in this dataset (eV per atom) = 0.029

Lattice parameters (Å, degrees): 8.558 8.561 8.568 90.00 90.00 90.00
Atoms (fractional coordinates):
Sr  0.000  0.000  0.000
Sr  0.000  0.500  0.000
Sr  0.500  0.000  0.000
Sr  0.500  0.500  0.500
Sm  0.250  0.251  0.751
Sm  0.250  0.749  0.249
Sm  0.750  0.251  0.249
Sm  0.750  0.749  0.751
Eu  0.000  0.000  0.500
Eu  0.000  0.500  0.500
Eu  0.500  0.000  0.500
Eu  0.500  0.500  0.000
V  0.250  0.251  0.249
V  0.250  0.749  0.751
V  0.750  0.251  0.751
V  0.750  0.749  0.249
O  0.024  0.209  0.217
O  0.024  0.791  0.783
O  0.208  0.285  0.478
O  0.208  0.715  0.522
O  0.216  0.477  0.209
O  0.216  0.523  0.791
O  0.285  0.023  0.293
O  0.285  0.977  0.707
O  0.291  0.217  0.023
O  0.291  0.783  0.977
O  0.477  0.291  0.284
O  0.477  0.709  0.716
O  0.523  0.291  0.716
O  0.523  0.709  0.284
O  0.709  0.217  0.977
O  0.709  0.783  0.023
O  0.715  0.023  0.707
O  0.715  0.977  0.293
O  0.784  0.477  0.791
O  0.784  0.523  0.209
O  0.792  0.285  0.522
O  0.792  0.715  0.478
O  0.976  0.209  0.783
O  0.976  0.791  0.217

---

(6)
Below is an optimized crystal structure of SrSmEuVO6, with properties calculated at the GGA+U level.

Output
- space group = No. 216
- crystal system = cubic
- energy above the most stable polymorph in this dataset (eV per atom) = 0.000

Lattice parameters (Å, degrees): 5.848 5.848 5.848 60.00 60.00 60.00
Atoms (fractional coordinates):
Sr  0.000  0.000  0.000
Sm  0.250  0.250  0.250
Eu  0.500  0.500  0.500
V  0.750  0.750  0.750
O  0.522  0.522  0.978
O  0.522  0.978  0.522
O  0.522  0.978  0.978
O  0.978  0.522  0.522
O  0.978  0.522  0.978
O  0.978  0.978  0.522

---

(7)
Below is an optimized crystal structure of SmEu2VO6, with properties calculated at the GGA+U level.

Output
- space group = No. 225
- crystal system = cubic

Lattice parameters (Å, degrees): 5.857 5.857 5.857 60.00 60.00 60.00
Atoms (fractional coordinates):
Sm  0.000  0.000  0.000
Eu  0.250  0.250  0.250
Eu  0.750  0.750  0.750
V  0.500  0.500  0.500
O  0.271  0.271  0.729
O  0.271  0.729  0.271
O  0.271  0.729  0.729
O  0.729  0.271  0.271
O  0.729  0.271  0.729
O  0.729  0.729  0.271

---

(8)
Below is an optimized crystal structure of SrTbEuWO6, with properties calculated at the GGA+U level.

Output
- space group = No. 216
- crystal system = cubic

Lattice parameters (Å, degrees): 5.955 5.955 5.955 60.00 60.00 60.00
Atoms (fractional coordinates):
Sr  0.000  0.000  0.000
Tb  0.250  0.250  0.250
Eu  0.500  0.500  0.500
W  0.750  0.750  0.750
O  0.514  0.514  0.986
O  0.514  0.986  0.514
O  0.514  0.986  0.986
O  0.986  0.514  0.514
O  0.986  0.514  0.986
O  0.986  0.986  0.514

---

| no. | volume (A^3/atom) | DFT total energy (eV for the cell shown) |
| --- | --- | --- |
| 1 | 12.70 | -83.06 |
| 2 | 14.42 | -184.22 |
| 3 | 16.35 | -349.37 |
| 4 | 14.10 | -331.20 |
| 5 | 15.69 | -319.85 |
| 6 | 14.14 | -80.26 |
| 7 | 14.21 | -88.71 |
| 8 | 14.93 | -80.66 |